# 1
Material: MgSb3
Method: DFT, PBE
State: optimized geometry

Summary:
The calculation puts the energy of formation at -0.083 eV/atom. As for the total moment: 0.01 μB per formula unit.

Lattice parameters (Å, degrees): 3.575 10.616 5.510 90.00 90.00 90.00
Space group Imm2 (No. 44)
Inequivalent atoms, fractional coordinates:
Mg (0.000, 0.000, 0.000)
Sb (0.000, 0.274, 0.329)
Sb (0.000, 0.500, 0.969)


# 2
Material: YGaS3O12
Method: DFT, PBE
State: optimized geometry

Summary:
The calculation puts the energy of formation at -2.271 eV/atom. As for the total moment: 0.00 μB per formula unit.

Lattice parameters (Å, degrees): 8.8045 8.8045 23.0788 90.00 90.00 120.00
Space group P321 (No. 150)
Inequivalent atoms, fractional coordinates:
Y (0.0000, 0.0000, 0.1054)
Y (0.0000, 0.0000, 0.3881)
Y (0.3333, 0.6667, 0.5668)
Ga (0.3333, 0.6667, 0.0662)
Ga (0.3333, 0.6667, 0.2662)
Ga (0.3333, 0.6667, 0.7718)
S (0.0000, 0.2911, 0.5000)
S (0.0000, 0.6889, 0.0000)
S (0.0332, 0.6488, 0.6754)
S (0.0447, 0.3937, 0.1691)
O (0.0165, 0.8063, 0.6696)
O (0.0222, 0.2082, 0.4474)
O (0.0263, 0.2186, 0.1621)
O (0.0374, 0.8050, 0.9490)
O (0.1033, 0.6171, 0.6213)
O (0.1233, 0.5024, 0.1160)
O (0.1306, 0.5071, 0.8230)
O (0.1417, 0.6348, 0.3166)
O (0.1534, 0.6823, 0.7249)
O (0.1563, 0.6703, 0.0113)
O (0.1575, 0.4653, 0.5049)
O (0.1566, 0.4714, 0.2207)


# 3
Material: CaNb2P2O10
Method: DFT, PBE
State: optimized geometry

Summary:
The calculation puts the energy of formation at -2.766 eV/atom. As for the total moment: 2.00 μB per formula unit.

Lattice parameters (Å, degrees): 6.530 6.530 6.011 90.00 90.00 90.00
Space group P-4m2 (No. 115)
Inequivalent atoms, fractional coordinates:
Ca (0.000, 0.000, 0.000)
Nb (0.000, 0.500, 0.264)
P (0.000, 0.000, 0.500)
P (0.500, 0.500, 0.500)
O (0.000, 0.181, 0.336)
O (0.000, 0.500, 0.970)
O (0.306, 0.500, 0.353)